<P>
DFT (GGA+U) results for an optimized crystal structure of MgFeSb4O12.

Values from the calculation:
- Crystal system: triclinic
- Calculated density: 5.7 g cm⁻³
- M_tot: 4.00 μB per formula unit

a = 5.5292 Å, b = 10.8588 Å, c = 9.5052 Å
α = 29.22°, β = 52.94°, γ = 58.38°
Atoms (fractional coordinates):
O 0.3625 0.8049 0.1211
O 0.0988 0.8227 0.7252
O 0.8532 0.7072 0.2108
O 0.6435 0.1992 0.8375
O 0.6896 0.8796 0.3599
O 0.2183 0.6321 0.6055
O 0.1468 0.2668 0.7969
O 0.3351 0.2889 0.1243
O 0.7498 0.3673 0.3658
O 0.2803 0.1119 0.6227
O 0.6234 0.7134 0.8445
O 0.8446 0.1761 0.2627
Sb 0.9793 0.5034 0.9824
Sb 0.4750 0.9989 0.4870
Sb 0.9921 0.9946 0.9931
Sb 0.4974 0.5019 0.4817
Mg 0.6834 0.9987 0.7067
Fe 0.2768 0.0263 0.2188


<Q>
DFT (GGA+U) results for an optimized crystal structure of MgFeSb4O12.

Values from the calculation:
- Crystal system: triclinic
- Calculated density: 5.7 g cm⁻³
- M_tot: 4.01 μB per formula unit

a = 5.5304 Å, b = 11.0282 Å, c = 9.6768 Å
α = 28.56°, β = 51.83°, γ = 57.13°
Atoms (fractional coordinates):
O 0.6160 0.6858 0.8662
O 0.2319 0.6274 0.6139
O 0.8726 0.1839 0.2384
O 0.7108 0.8867 0.3510
O 0.8457 0.7185 0.2004
O 0.3451 0.2859 0.1340
O 0.2086 0.1117 0.6259
O 0.1194 0.3132 0.7396
O 0.3821 0.8171 0.1003
O 0.7292 0.3638 0.3777
O 0.1128 0.8183 0.7251
O 0.6289 0.1792 0.8526
Sb 0.5042 0.9948 0.4943
Sb 0.0112 0.0049 0.9832
Sb 0.4830 0.5022 0.4901
Sb 0.9759 0.4974 0.9985
Mg 0.7976 0.0001 0.7793
Fe 0.2940 0.9968 0.2805


Which is the most stable structure? <Q> is the most stable.


<P>
DFT (GGA+U) results for an optimized crystal structure of Li3Mn4B4O12.

Values from the calculation:
- Crystal system: triclinic
- Calculated density: 3.2 g cm⁻³
- M_tot: 19.00 μB per formula unit

a = 5.3003 Å, b = 5.8872 Å, c = 9.0185 Å
α = 103.52°, β = 90.57°, γ = 113.11°
Atoms (fractional coordinates):
O 0.3567 0.3601 0.6625
O 0.1668 0.6758 0.8588
O 0.8329 0.3297 0.1419
O 0.6056 0.1458 0.7522
O 0.3880 0.8330 0.2469
O 0.6587 0.6587 0.3621
O 0.1283 0.1577 0.2368
O 0.8739 0.8275 0.7448
O 0.2192 0.3030 0.0097
O 0.7167 0.2926 0.5230
O 0.2892 0.7385 0.4885
O 0.7721 0.7011 0.9809
Li 0.5851 0.3175 0.9683
Li 0.9172 0.6576 0.5318
Li 0.4071 0.6793 0.0306
Mn 0.5405 0.2430 0.3060
Mn 0.4528 0.7446 0.6938
Mn 0.9533 0.7599 0.2064
Mn 0.0352 0.2387 0.7881
B 0.4463 0.7439 0.3686
B 0.0580 0.2601 0.1285
B 0.9396 0.7394 0.8658
B 0.5570 0.2608 0.6384


<Q>
DFT (GGA+U) results for an optimized crystal structure of Li3Mn4B4O12.

Values from the calculation:
- Crystal system: triclinic
- Calculated density: 3.2 g cm⁻³
- M_tot: 19.00 μB per formula unit

a = 9.0897 Å, b = 9.1218 Å, c = 10.3858 Å
α = 88.45°, β = 88.66°, γ = 60.35°
Atoms (fractional coordinates):
O 0.6112 0.2174 0.3345
O 0.9666 0.5629 0.3110
O 0.0934 0.0462 0.6293
O 0.8925 0.2965 0.8143
O 0.4514 0.0171 0.1594
O 0.2807 0.9881 0.9063
O 0.3624 0.7919 0.6608
O 0.6833 0.0255 0.0526
O 0.7035 0.0845 0.6756
O 0.9886 0.6271 0.9237
O 0.8861 0.9936 0.4046
O 0.3347 0.2182 0.8717
O 0.3126 0.6268 0.4027
O 0.6475 0.2878 0.9014
O 0.3572 0.4525 0.1388
O 0.6477 0.9486 0.4094
O 0.3612 0.7082 0.0778
O 0.9848 0.3903 0.0720
O 0.9721 0.8876 0.8488
O 0.0429 0.6847 0.5769
O 0.2207 0.3179 0.3879
O 0.2753 0.9001 0.3410
O 0.7130 0.3233 0.5777
O 0.6496 0.5501 0.8926
O 0.0647 0.4228 0.6599
O 0.4469 0.3508 0.6423
O 0.5555 0.6586 0.3649
O 0.2360 0.6230 0.8338
O 0.7990 0.6736 0.6636
O 0.9463 0.3427 0.4295
O 0.0189 0.1366 0.1714
O 0.5616 0.9339 0.8429
O 0.7127 0.7584 0.1254
O 0.3554 0.0420 0.5773
O 0.1031 0.7198 0.1541
O 0.7461 0.3848 0.1706
Li 0.2869 0.2794 0.5855
Li 0.3658 0.4019 0.3248
Li 0.0575 0.0426 0.8216
Li 0.7129 0.7294 0.3196
Li 0.4029 0.3803 0.8412
Li 0.9413 0.9478 0.6033
Li 0.6151 0.6094 0.0939
Li 0.7481 0.6909 0.8507
Li 0.0356 0.0781 0.3545
Mn 0.0777 0.3651 0.8796
Mn 0.6913 0.3993 0.3754
Mn 0.6040 0.2657 0.1197
Mn 0.3870 0.0569 0.3610
Mn 0.3944 0.7272 0.8653
Mn 0.9804 0.6000 0.1164
Mn 0.9271 0.3132 0.6217
Mn 0.6099 0.9059 0.6153
Mn 0.0504 0.7408 0.3667
Mn 0.2998 0.6105 0.6122
Mn 0.7130 0.0386 0.8671
Mn 0.2569 0.9632 0.1194
B 0.2783 0.6230 0.1223
B 0.2679 0.9601 0.6208
B 0.3838 0.7299 0.3690
B 0.6147 0.9300 0.1115
B 0.7168 0.0537 0.3820
B 0.0496 0.4043 0.3754
B 0.9660 0.5994 0.6321
B 0.3908 0.0502 0.8744
B 0.0666 0.7171 0.8693
B 0.6185 0.2550 0.6329
B 0.7268 0.3816 0.8691
B 0.9182 0.3003 0.1387


Which is the most stable structure? <Q> is the most stable.


<P>
DFT (GGA+U) results for an optimized crystal structure of Ti3Fe9O16.

Values from the calculation:
- Crystal system: triclinic
- Calculated density: 4.8 g cm⁻³
- M_tot: 38.00 μB per formula unit

a = 6.0459 Å, b = 12.0813 Å, c = 15.9436 Å
α = 40.93°, β = 55.37°, γ = 59.76°
Atoms (fractional coordinates):
O 0.7339 0.3174 0.1304
O 0.2547 0.8056 0.6377
O 0.7561 0.2068 0.8667
O 0.2712 0.0501 0.1308
O 0.2439 0.0432 0.6333
O 0.7667 0.9311 0.8705
O 0.7214 0.5554 0.1332
O 0.2661 0.9326 0.3696
O 0.2404 0.7953 0.1339
O 0.7278 0.0517 0.1337
O 0.2472 0.5589 0.1366
O 0.7633 0.7019 0.8661
O 0.2485 0.4463 0.3612
O 0.7232 0.8035 0.6350
O 0.2543 0.2991 0.1300
O 0.7288 0.1999 0.3692
O 0.2367 0.5481 0.6339
O 0.7457 0.9509 0.3700
O 0.2768 0.4465 0.8650
O 0.7677 0.0482 0.6325
O 0.2542 0.6919 0.8628
O 0.2323 0.2018 0.8675
O 0.7458 0.5581 0.6372
O 0.7515 0.8037 0.1388
O 0.7528 0.6911 0.3634
O 0.2786 0.6946 0.3668
O 0.2722 0.1983 0.3663
O 0.7596 0.4547 0.3661
O 0.7290 0.3124 0.6283
O 0.2710 0.9376 0.8717
O 0.2333 0.3189 0.6295
O 0.7453 0.4444 0.8623
Fe 0.8788 0.7209 0.4357
Fe 0.4990 0.4969 0.5025
Fe 0.5000 0.1250 0.2500
Fe 0.8781 0.2227 0.4354
Fe 0.8777 0.9721 0.9383
Fe 0.1212 0.5291 0.0643
Fe 0.1219 0.0273 0.0646
Fe 0.5010 0.7531 0.9975
Fe 0.1223 0.2779 0.5617
Fe 0.5000 0.1250 0.7500
Fe 0.4977 0.8777 0.7511
Fe 0.5000 0.6250 0.2500
Fe 0.5077 0.0003 0.4973
Fe 0.4923 0.2497 0.0027
Fe 0.0000 0.1250 0.2500
Fe 0.5023 0.3723 0.7489
Fe 0.1192 0.7790 0.5673
Fe 0.8808 0.4710 0.9327
Ti 0.9839 0.8799 0.7527
Ti 0.0161 0.3701 0.7473
Ti 0.4864 0.8831 0.2509
Ti 0.5000 0.6250 0.7500
Ti 0.5136 0.3669 0.2491
Ti 0.0000 0.6250 0.2500


<Q>
DFT (GGA+U) results for an optimized crystal structure of Ti3Fe9O16.

Values from the calculation:
- Crystal system: triclinic
- Calculated density: 4.7 g cm⁻³
- M_tot: 38.00 μB per formula unit

a = 6.0731 Å, b = 10.5451 Å, c = 10.6142 Å
α = 98.54°, β = 90.06°, γ = 106.50°
Atoms (fractional coordinates):
O 0.5706 0.6393 0.7073
O 0.3286 0.1197 0.9415
O 0.8089 0.6388 0.9390
O 0.2773 0.6203 0.4353
O 0.9325 0.3654 0.8039
O 0.3009 0.1042 0.4303
O 0.1809 0.8589 0.5421
O 0.3341 0.6376 0.9366
O 0.9447 0.3942 0.3265
O 0.9386 0.8586 0.3130
O 0.9099 0.8701 0.8286
O 0.6659 0.3624 0.0634
O 0.7868 0.1128 0.9365
O 0.2132 0.8872 0.0635
O 0.4191 0.8585 0.3151
O 0.0614 0.1414 0.6870
O 0.7227 0.3797 0.5647
O 0.8191 0.1411 0.4579
O 0.8459 0.6222 0.4353
O 0.0553 0.6058 0.6735
O 0.4560 0.8781 0.8361
O 0.4442 0.3868 0.8161
O 0.1541 0.3778 0.5647
O 0.5558 0.6132 0.1839
O 0.1911 0.3612 0.0610
O 0.0675 0.6346 0.1961
O 0.5440 0.1219 0.1639
O 0.6991 0.8958 0.5697
O 0.4294 0.3607 0.2927
O 0.0901 0.1299 0.1714
O 0.5809 0.1415 0.6849
O 0.6714 0.8803 0.0585
Fe 0.8468 0.1906 0.2795
Fe 0.7547 0.5006 0.7535
Fe 0.0000 0.0000 0.5000
Fe 0.2479 0.9983 0.2522
Fe 0.3490 0.1953 0.7845
Fe 0.4037 0.3038 0.4723
Fe 0.2453 0.4994 0.2465
Fe 0.5000 0.5000 0.0000
Fe 0.7521 0.0017 0.7478
Fe 0.2477 0.5003 0.7539
Fe 0.1532 0.8094 0.7205
Fe 0.7523 0.4997 0.2461
Fe 0.5000 0.0000 0.5000
Fe 0.6510 0.8047 0.2155
Fe 0.1016 0.6930 0.0349
Fe 0.0000 0.0000 0.0000
Fe 0.8984 0.3070 0.9651
Fe 0.5963 0.6962 0.5277
Ti 0.3712 0.2581 0.1342
Ti 0.1276 0.7553 0.3790
Ti 0.8724 0.2447 0.6210
Ti 0.5000 0.0000 0.0000
Ti 0.0000 0.5000 0.5000
Ti 0.6288 0.7419 0.8658


Which is the most stable structure? <Q> is the most stable.


<P>
DFT (GGA+U) results for an optimized crystal structure of Mn3OF5.

Values from the calculation:
- Crystal system: monoclinic
- Calculated density: 3.9 g cm⁻³
- M_tot: 14.00 μB per formula unit

a = 4.8756 Å, b = 4.8756 Å, c = 9.7876 Å
α = 89.60°, β = 89.60°, γ = 91.84°
Atoms (fractional coordinates):
O 0.3264 0.3264 0.6563
O 0.6736 0.6736 0.3437
Mn 0.4960 0.4960 0.8225
Mn 0.9678 0.9678 0.3371
Mn 0.5000 0.5000 0.5000
Mn 0.0322 0.0322 0.6629
Mn 0.5040 0.5040 0.1775
Mn 0.0000 0.0000 0.0000
F 0.2804 0.2804 0.3387
F 0.6893 0.6893 0.9931
F 0.2071 0.8144 0.8319
F 0.8144 0.2071 0.8319
F 0.7929 0.1856 0.1681
F 0.7196 0.7196 0.6613
F 0.1856 0.7929 0.1681
F 0.7970 0.2030 0.5000
F 0.2030 0.7970 0.5000
F 0.3107 0.3107 0.0069


<Q>
DFT (GGA+U) results for an optimized crystal structure of Mn3OF5.

Values from the calculation:
- Crystal system: triclinic
- Calculated density: 3.9 g cm⁻³
- M_tot: 14.00 μB per formula unit

a = 4.8651 Å, b = 5.8726 Å, c = 8.1386 Å
α = 92.36°, β = 90.14°, γ = 90.51°
Atoms (fractional coordinates):
F 0.2982 0.1363 0.4373
F 0.2000 0.2839 0.0995
F 0.8050 0.7043 0.8848
F 0.7884 0.0342 0.2447
F 0.3053 0.4692 0.7724
F 0.6986 0.2107 0.9135
F 0.1907 0.9700 0.7705
F 0.7090 0.5277 0.2231
F 0.6759 0.8627 0.5508
F 0.8101 0.3689 0.5687
Mn 0.0083 0.9801 0.0135
Mn 0.4945 0.5128 0.0034
Mn 0.4651 0.8263 0.3271
Mn 0.5075 0.1673 0.6724
Mn 0.0161 0.6755 0.6496
Mn 0.0147 0.3502 0.3342
O 0.3121 0.7834 0.1076
O 0.2004 0.6364 0.4268


Which is the most stable structure? <P> is the most stable.


<P>
DFT (GGA+U) results for an optimized crystal structure of LiMn2O3F.

Values from the calculation:
- Crystal system: monoclinic
- Calculated density: 3.9 g cm⁻³
- M_tot: 8.00 μB per formula unit

a = 8.0041 Å, b = 8.0041 Å, c = 6.0231 Å
α = 68.22°, β = 68.22°, γ = 63.92°
Atoms (fractional coordinates):
Mn 0.3764 0.3780 0.6366
Mn 0.6379 0.6178 0.8686
Mn 0.7645 0.2230 0.7634
Mn 0.2230 0.7645 0.2634
Mn 0.6178 0.6379 0.3686
Mn 0.3780 0.3764 0.1366
Mn 0.0100 0.4904 0.5127
Mn 0.4904 0.0100 0.0127
O 0.3655 0.8751 0.3313
O 0.6088 0.1375 0.6738
O 0.1375 0.6088 0.1738
O 0.8751 0.3655 0.8313
O 0.4989 0.5213 0.2095
O 0.6114 0.1590 0.1126
O 0.5213 0.4989 0.7095
O 0.1590 0.6114 0.6126
O 0.2772 0.2545 0.0144
O 0.7586 0.7087 0.5220
O 0.7087 0.7586 0.0220
O 0.2545 0.2772 0.5144
F 0.0018 0.9900 0.7405
F 0.8681 0.3659 0.3736
F 0.9900 0.0018 0.2405
F 0.3659 0.8681 0.8736
Li 0.7368 0.0054 0.3903
Li 0.0137 0.2438 0.1007
Li 0.0054 0.7368 0.8903
Li 0.2438 0.0137 0.6007


<Q>
DFT (GGA+U) results for an optimized crystal structure of LiMn2O3F.

Values from the calculation:
- Crystal system: monoclinic
- Calculated density: 3.6 g cm⁻³
- M_tot: 8.00 μB per formula unit

a = 5.9644 Å, b = 5.3606 Å, c = 10.5872 Å
α = 88.75°, β = 90.00°, γ = 90.00°
Atoms (fractional coordinates):
F 0.9999 0.8004 0.6327
F 0.4999 0.1996 0.3673
F 0.2311 0.6804 0.1408
F 0.7311 0.3196 0.8592
O 0.7434 0.3173 0.5831
O 0.7511 0.6732 0.4104
O 0.4893 0.1872 0.0775
O 0.2216 0.3865 0.9025
O 0.5034 0.8825 0.5979
O 0.2511 0.3268 0.5896
O 0.0034 0.1175 0.4021
O 0.2434 0.6827 0.4169
O 0.9893 0.8128 0.9225
O 0.4830 0.8448 0.9082
O 0.9830 0.1552 0.0918
O 0.7216 0.6135 0.0975
Li 0.0506 0.8776 0.2641
Li 0.0568 0.5720 0.7671
Li 0.5506 0.1224 0.7359
Li 0.5568 0.4280 0.2329
Mn 0.7477 0.9985 0.4942
Mn 0.4976 0.5143 0.5076
Mn 0.9892 0.4949 0.0185
Mn 0.9976 0.4857 0.4924
Mn 0.7353 0.9892 0.0048
Mn 0.2477 0.0015 0.5058
Mn 0.4892 0.5051 0.9815
Mn 0.2353 0.0108 0.9952


Which is the most stable structure? <P> is the most stable.